# 1
The following is a PBE calculation of MgMo3Se2S4 after structural relaxation, from Materials Project.

Output
Formation energy from the elements   -874 meV per atom
Energy above the lowest structure with this stoichiometry   10.3 meV per atom
Volume   330.2 Å³ per cell

a b c (Å): 3.2366 3.2366 36.4009
angles (deg): 90.00 90.00 120.00
Last column: nearest neighbours and their distance in Å.
Fractional coordinates of all 10 atoms:
Mg (0.0000, 0.0000, 0.2242)  6 Mg 3.24, 3 S 3.26, 3 Se 3.57
Mo (0.3333, 0.6666, 0.5784)  6 S 2.43
Mo (0.3333, 0.6667, 0.1079)  6 S 2.42-2.44
Mo (0.6666, 0.3333, 0.3550)  6 Se 2.53-2.54
S (0.6666, 0.3332, 0.5357)  3 Mo 2.43
S (0.6667, 0.3333, 0.6210)  3 Mo 2.43
S (0.6667, 0.3334, 0.1509)  3 Mo 2.44
S (0.6667, 0.3333, 0.0657)  3 Mo 2.42
Se (0.3333, 0.6667, 0.4018)  3 Mo 2.53
Se (0.3333, 0.6666, 0.3077)  3 Mo 2.54

# 2
The following is a PBE calculation of MgMo3Se2S4 after structural relaxation, from Materials Project.

Output
Formation energy from the elements   -847 meV per atom
Energy above the lowest structure with this stoichiometry   37.5 meV per atom
Volume   267.8 Å³ per cell

a b c (Å): 3.2276 3.2276 29.6833
angles (deg): 90.00 90.00 120.00
Last column: nearest neighbours and their distance in Å.
Fractional coordinates of all 10 atoms:
Mo (0.3333, 0.6666, 0.5784)  6 S 2.42-2.43
Mo (0.3333, 0.6666, 0.1156)  6 S 2.43
Mo (0.6667, 0.3334, 0.3470)  6 Se 2.53
Se (0.3334, 0.6667, 0.4045)  3 Mo 2.53
Se (0.3334, 0.6667, 0.2894)  3 Mo 2.53
S (0.6666, 0.3333, 0.5261)  3 Mo 2.43
S (0.6666, 0.3333, 0.6306)  3 Mo 2.42
S (0.6666, 0.3333, 0.0633)  3 Mo 2.43
S (0.6666, 0.3333, 0.1680)  3 Mo 2.43
Mg (0.3875, 0.8161, 0.8434)  6 Mg 3.23

# 3
The following is a PBE calculation of MgMo2Se2S2 after structural relaxation, from Materials Project.

Output
Formation energy from the elements   -767 meV per atom
Energy above the lowest structure with this stoichiometry   0.0 meV per atom
Volume   165.5 Å³ per cell

a b c (Å): 3.2712 3.2690 18.7038
angles (deg): 75.19 90.01 120.02
Last column: nearest neighbours and their distance in Å.
Fractional coordinates of all 7 atoms:
Mg (0.9390, 0.8867, 0.2403)  1 S 2.75, 1 Se 2.93
Mo (0.3565, 0.7169, 0.4992)  6 Se 2.53-2.54
Mo (0.5248, 0.0498, 0.0008)  6 S 2.43
Se (0.5979, 0.1996, 0.5938)  3 Mo 2.53
Se (0.7825, 0.5691, 0.4041)  3 Mo 2.54
S (0.1080, 0.2159, 0.0865)  3 Mo 2.43
S (0.2746, 0.5494, 0.9153)  3 Mo 2.43

# 4
The following is a PBE calculation of MgMo3Se2S4 after structural relaxation, from Materials Project.

Output
Formation energy from the elements   -880 meV per atom
Energy above the lowest structure with this stoichiometry   3.8 meV per atom
Volume   331.4 Å³ per cell

a b c (Å): 3.2328 3.2328 36.6127
angles (deg): 90.00 90.00 120.00
Last column: nearest neighbours and their distance in Å.
Fractional coordinates of all 10 atoms:
S (0.6666, 0.3333, 0.0629)  3 Mo 2.42
S (0.6666, 0.3332, 0.6207)  3 Mo 2.43
S (0.6666, 0.3332, 0.5360)  3 Mo 2.43
S (0.6666, 0.3333, 0.1479)  3 Mo 2.44
Mg (0.3333, 0.6667, 0.2260)  1 Se 2.92, 6 Mg 3.23
Se (0.3334, 0.6668, 0.3058)  3 Mo 2.53
Se (0.3334, 0.6667, 0.3994)  3 Mo 2.53
Mo (0.3333, 0.6666, 0.5784)  6 S 2.43
Mo (0.6667, 0.3334, 0.3527)  6 Se 2.53
Mo (0.3333, 0.6666, 0.1052)  6 S 2.42-2.44

Theoretical density / g/cm³: 3.01; 3.71; 4.40; 3.00